Record 1
## Ac3Dy (GGA-PBE)

Data for a relaxed structure of Ac3Dy.

space-group type: No. 194
calculated volume: 334 Å³ per cell
final energy: -4.17 eV/atom

a = 7.7986 Å, b = 7.7986 Å, c = 6.3497 Å
α = 90.00°, β = 90.00°, γ = 120.00°
Fractional positions:
1 Ac 0.1695 0.3390 0.2500
2 Ac 0.1695 0.8305 0.2500
3 Ac 0.3390 0.1695 0.7500
4 Ac 0.6610 0.8305 0.2500
5 Ac 0.8305 0.1695 0.7500
6 Ac 0.8305 0.6610 0.7500
7 Dy 0.3333 0.6667 0.7500
8 Dy 0.6667 0.3333 0.2500

=====

Record 2
## Ac3Dy (GGA-PBE)

Data for a relaxed structure of Ac3Dy.

space-group type: No. 139
calculated volume: 166 Å³ per cell
final energy: -4.18 eV/atom

a = 6.7243 Å, b = 6.7243 Å, c = 6.7243 Å
α = 131.64°, β = 131.64°, γ = 70.80°
Fractional positions:
1 Ac 0.0000 0.0000 0.0000
2 Ac 0.2500 0.7500 0.5000
3 Ac 0.7500 0.2500 0.5000
4 Dy 0.5000 0.5000 0.0000

=====

Record 3
## AcEr3 (GGA-PBE)

Data for a relaxed structure of AcEr3.

space-group type: No. 221
calculated volume: 136 Å³ per cell
final energy: -4.38 eV/atom

a = 5.1404 Å, b = 5.1404 Å, c = 5.1404 Å
α = 90.00°, β = 90.00°, γ = 90.00°
Fractional positions:
1 Ac 0.0000 0.0000 0.0000
2 Er 0.0000 0.5000 0.5000
3 Er 0.5000 0.0000 0.5000
4 Er 0.5000 0.5000 0.0000

=====

Record 4
## Ac3Er (GGA-PBE)

Data for a relaxed structure of Ac3Er.

space-group type: No. 139
calculated volume: 167 Å³ per cell
final energy: -4.16 eV/atom

a = 6.7163 Å, b = 6.7163 Å, c = 6.7163 Å
α = 131.45°, β = 131.45°, γ = 71.09°
Fractional positions:
1 Ac 0.0000 0.0000 0.0000
2 Ac 0.2500 0.7500 0.5000
3 Ac 0.7500 0.2500 0.5000
4 Er 0.5000 0.5000 0.0000

=====

Record 5
## Ac3Er (GGA-PBE)

Data for a relaxed structure of Ac3Er.

space-group type: No. 194
calculated volume: 331 Å³ per cell
final energy: -4.16 eV/atom

a = 7.8168 Å, b = 7.8168 Å, c = 6.2584 Å
α = 90.00°, β = 90.00°, γ = 120.00°
Fractional positions:
1 Ac 0.1696 0.3393 0.2500
2 Ac 0.1696 0.8304 0.2500
3 Ac 0.3393 0.1696 0.7500
4 Ac 0.6607 0.8304 0.2500
5 Ac 0.8304 0.1696 0.7500
6 Ac 0.8304 0.6607 0.7500
7 Er 0.3333 0.6667 0.7500
8 Er 0.6667 0.3333 0.2500

=====

Record 6
## AcEu3 (GGA-PBE)

Data for a relaxed structure of AcEu3.

space-group type: No. 194
calculated volume: 357 Å³ per cell
final energy: -8.70 eV/atom

a = 7.9999 Å, b = 7.9999 Å, c = 6.4412 Å
α = 90.00°, β = 90.00°, γ = 120.00°
Fractional positions:
1 Ac 0.3333 0.6667 0.2500
2 Ac 0.6667 0.3333 0.7500
3 Eu 0.1674 0.3348 0.7500
4 Eu 0.1674 0.8326 0.7500
5 Eu 0.3348 0.1674 0.2500
6 Eu 0.6652 0.8326 0.7500
7 Eu 0.8326 0.1674 0.2500
8 Eu 0.8326 0.6652 0.2500